Record 1
# NiH8C4N3O6

Crystalline NiH8C4N3O6 at its relaxed geometry (PBE with a Hubbard U, the Materials Project).

Geometry as POSCAR:
```
NiH8C4N3O6
1.0
8.477 0.000 0.000
0.000 8.788 0.000
0.000 0.000 11.920
Ni H C N O
4 32 16 12 24
direct
0.001 0.000 0.000
0.499 0.500 0.500
0.501 0.500 0.000
0.999 0.000 0.500
0.007 0.079 0.248
0.076 0.680 0.165
0.078 0.315 0.834
0.081 0.709 0.801
0.152 0.678 0.460
0.159 0.322 0.540
0.170 0.500 0.133
0.172 0.492 0.871
0.328 0.992 0.371
0.330 0.000 0.633
0.341 0.822 0.040
0.348 0.178 0.960
0.419 0.209 0.301
0.422 0.815 0.334
0.424 0.180 0.665
0.493 0.579 0.748
0.507 0.421 0.248
0.576 0.820 0.165
0.578 0.185 0.834
0.581 0.791 0.801
0.652 0.822 0.460
0.659 0.178 0.540
0.670 0.000 0.133
0.672 0.008 0.871
0.828 0.508 0.371
0.830 0.500 0.633
0.841 0.678 0.040
0.848 0.322 0.960
0.919 0.291 0.301
0.922 0.685 0.334
0.924 0.320 0.665
0.993 0.921 0.748
0.001 0.493 0.253
0.002 0.954 0.249
0.227 0.733 0.525
0.230 0.265 0.475
0.270 0.765 0.975
0.273 0.233 0.025
0.498 0.454 0.749
0.499 0.993 0.753
0.501 0.007 0.253
0.502 0.546 0.249
0.727 0.767 0.525
0.730 0.235 0.475
0.770 0.735 0.975
0.773 0.267 0.025
0.998 0.046 0.749
0.999 0.507 0.753
0.017 0.341 0.264
0.090 0.564 0.178
0.095 0.430 0.822
0.405 0.930 0.322
0.410 0.064 0.678
0.483 0.841 0.764
0.517 0.159 0.264
0.590 0.936 0.178
0.595 0.070 0.822
0.905 0.570 0.322
0.910 0.436 0.678
0.983 0.659 0.764
0.007 0.884 0.155
0.008 0.114 0.843
0.151 0.833 0.935
0.153 0.163 0.061
0.187 0.866 0.558
0.188 0.133 0.443
0.312 0.633 0.943
0.313 0.366 0.058
0.347 0.663 0.561
0.349 0.333 0.435
0.492 0.614 0.343
0.493 0.384 0.655
0.507 0.616 0.155
0.508 0.386 0.843
0.651 0.667 0.935
0.653 0.337 0.061
0.687 0.634 0.558
0.688 0.367 0.443
0.812 0.867 0.943
0.813 0.134 0.058
0.847 0.837 0.561
0.849 0.167 0.435
0.992 0.886 0.343
0.993 0.116 0.655
```

Output
- SG: Pna2_1, No. 33
- Electronic total energy: -6.131 eV/atom
- Formation energy from the elements: -773 meV/atom


Record 2
# V2H6C8N2O13

Crystalline V2H6C8N2O13 at its relaxed geometry (PBE with a Hubbard U, the Materials Project).

Geometry as POSCAR:
```
V2H6C8N2O13
1.0
7.937 -4.597 0.000
7.937 4.597 0.000
-5.166 0.000 15.604
V H C N O
4 12 16 4 26
direct
0.125 0.875 0.500
0.245 0.923 0.715
0.875 0.125 0.000
0.923 0.245 0.215
0.020 0.732 0.907
0.068 0.099 0.841
0.068 0.695 0.816
0.099 0.068 0.341
0.159 0.207 0.830
0.172 0.444 0.872
0.207 0.159 0.330
0.284 0.343 0.405
0.343 0.284 0.905
0.444 0.172 0.372
0.695 0.068 0.316
0.732 0.020 0.407
0.275 0.556 0.194
0.370 0.483 0.128
0.424 0.807 0.934
0.440 0.535 0.208
0.483 0.370 0.628
0.527 0.804 0.014
0.535 0.440 0.708
0.554 0.874 0.175
0.556 0.275 0.694
0.599 0.719 0.941
0.679 0.996 0.745
0.719 0.599 0.441
0.804 0.527 0.514
0.807 0.424 0.434
0.874 0.554 0.675
0.996 0.679 0.245
0.131 0.611 0.221
0.542 0.846 0.099
0.611 0.131 0.721
0.846 0.542 0.599
0.024 0.953 0.070
0.085 0.221 0.156
0.090 0.644 0.866
0.109 0.121 0.798
0.109 0.972 0.426
0.114 0.818 0.732
0.121 0.109 0.298
0.182 0.638 0.449
0.199 0.726 0.666
0.221 0.085 0.656
0.224 0.322 0.880
0.288 0.919 0.603
0.322 0.224 0.380
0.326 0.649 0.492
0.432 0.850 0.771
0.638 0.182 0.949
0.644 0.090 0.366
0.649 0.326 0.992
0.726 0.199 0.166
0.818 0.114 0.232
0.850 0.432 0.271
0.907 0.909 0.506
0.909 0.907 0.006
0.919 0.288 0.103
0.953 0.024 0.570
0.972 0.109 0.926
```

Output
- SG: Cc, No. 9
- Electronic total energy: -6.119 eV/atom
- Formation energy from the elements: -280 meV/atom


Record 3
# NdMgCuW2O8

Crystalline NdMgCuW2O8 at its relaxed geometry (PBE with a Hubbard U, the Materials Project).

Geometry as POSCAR:
```
NdMgCuW2O8
1.0
5.420 0.000 0.000
-2.625 5.365 0.000
-0.069 -2.063 5.821
Nd Mg Cu W O
1 1 1 2 8
direct
0.000 0.000 0.000
0.447 0.913 0.296
0.658 0.258 0.856
0.227 0.491 0.668
0.728 0.514 0.384
0.162 0.689 0.469
0.203 0.724 0.967
0.271 0.265 0.801
0.317 0.265 0.360
0.643 0.712 0.683
0.716 0.750 0.246
0.717 0.203 0.136
0.789 0.296 0.576
```

Output
- ΔE to the lowest computed polymorph: 0.000 eV/atom
- SG: P1, No. 1
- Electronic total energy: -7.136 eV/atom
- Formation energy from the elements: -2398 meV/atom


Record 4
# Pr2W2O9

Crystalline Pr2W2O9 at its relaxed geometry (PBE with a Hubbard U, the Materials Project).

Geometry as POSCAR:
```
Pr2W2O9
1.0
7.819 0.000 0.000
0.000 10.065 0.000
-2.844 0.000 8.960
Pr W O
8 8 36
direct
0.214 0.051 0.424
0.214 0.449 0.924
0.273 0.054 0.849
0.273 0.446 0.349
0.727 0.554 0.651
0.727 0.946 0.151
0.786 0.551 0.076
0.786 0.949 0.576
0.079 0.732 0.467
0.079 0.768 0.967
0.428 0.749 0.761
0.428 0.751 0.261
0.572 0.249 0.739
0.572 0.251 0.239
0.921 0.232 0.033
0.921 0.268 0.533
0.001 0.599 0.326
0.001 0.901 0.826
0.053 0.104 0.609
0.053 0.396 0.109
0.089 0.209 0.930
0.089 0.291 0.430
0.235 0.635 0.138
0.235 0.865 0.638
0.244 0.686 0.860
0.244 0.814 0.360
0.275 0.623 0.582
0.275 0.877 0.082
0.400 0.218 0.338
0.400 0.282 0.838
0.445 0.093 0.654
0.445 0.407 0.154
0.494 0.120 0.098
0.494 0.380 0.598
0.506 0.620 0.402
0.506 0.880 0.902
0.555 0.593 0.846
0.555 0.907 0.346
0.600 0.718 0.162
0.600 0.782 0.662
0.725 0.123 0.918
0.725 0.377 0.418
0.756 0.186 0.640
0.756 0.314 0.140
0.765 0.135 0.362
0.765 0.365 0.862
0.911 0.709 0.570
0.911 0.791 0.070
0.947 0.604 0.891
0.947 0.896 0.391
0.999 0.099 0.174
0.999 0.401 0.674
```

Output
- SG: P2_1/c, No. 14
- Electronic total energy: -7.917 eV/atom
- Formation energy from the elements: -2920 meV/atom


Record 5
# Na2MnHgF6

Crystalline Na2MnHgF6 at its relaxed geometry (PBE with a Hubbard U, the Materials Project).

Geometry as POSCAR:
```
Na2MnHgF6
1.0
0.000 4.371 4.371
4.371 0.000 4.371
4.371 4.371 0.000
Na Mn Hg F
2 1 1 6
direct
0.250 0.250 0.250
0.750 0.750 0.750
0.000 0.000 0.000
0.500 0.500 0.500
0.233 0.233 0.767
0.233 0.767 0.233
0.233 0.767 0.767
0.767 0.233 0.233
0.767 0.233 0.767
0.767 0.767 0.233
```

Output
- SG: Fm-3m, No. 225
- Electronic total energy: -4.348 eV/atom
- Formation energy from the elements: -2432 meV/atom


Record 6
# LiMn3B3O9

Crystalline LiMn3B3O9 at its relaxed geometry (PBE with a Hubbard U, the Materials Project).

Geometry as POSCAR:
```
LiMn3B3O9
1.0
5.346 0.000 0.000
2.486 5.401 0.000
0.026 0.888 12.814
Li Mn B O
2 6 6 18
direct
0.197 0.432 0.238
0.803 0.568 0.762
0.102 0.718 0.028
0.245 0.643 0.624
0.416 0.065 0.693
0.584 0.935 0.307
0.755 0.357 0.376
0.898 0.282 0.972
0.043 0.065 0.195
0.281 0.298 0.471
0.368 0.415 0.855
0.632 0.585 0.145
0.719 0.702 0.529
0.957 0.935 0.805
0.056 0.247 0.474
0.063 0.967 0.903
0.117 0.925 0.718
0.221 0.426 0.946
0.235 0.413 0.763
0.274 0.102 0.197
0.375 0.582 0.144
0.406 0.307 0.376
0.406 0.315 0.564
0.594 0.685 0.436
0.594 0.693 0.624
0.625 0.418 0.856
0.726 0.898 0.803
0.765 0.587 0.237
0.779 0.574 0.054
0.883 0.075 0.282
0.937 0.033 0.097
0.944 0.753 0.526
```

Output
- ΔE to the lowest computed polymorph: 0.013 eV/atom
- SG: P-1, No. 2
- Electronic total energy: -7.566 eV/atom
- Formation energy from the elements: -2392 meV/atom


Record 7
# Mn12O7F17

Crystalline Mn12O7F17 at its relaxed geometry (PBE with a Hubbard U, the Materials Project).

Geometry as POSCAR:
```
Mn12O7F17
1.0
4.730 0.000 0.000
0.240 5.792 0.000
0.103 0.174 16.020
Mn O F
12 7 17
direct
0.000 0.000 0.000
0.002 0.680 0.509
0.007 0.676 0.846
0.017 0.007 0.337
0.034 0.992 0.667
0.043 0.688 0.177
0.508 0.503 0.332
0.513 0.210 0.833
0.517 0.516 0.656
0.525 0.505 0.994
0.536 0.188 0.156
0.541 0.204 0.494
0.220 0.733 0.949
0.227 0.718 0.610
0.245 0.739 0.288
0.719 0.470 0.887
0.731 0.469 0.554
0.732 0.238 0.382
0.743 0.238 0.045
0.225 0.964 0.451
0.231 0.970 0.110
0.243 0.962 0.784
0.249 0.232 0.939
0.267 0.242 0.267
0.268 0.464 0.436
0.279 0.468 0.765
0.286 0.224 0.603
0.297 0.473 0.101
0.726 0.471 0.223
0.746 0.245 0.717
0.763 0.967 0.893
0.765 0.962 0.564
0.773 0.749 0.066
0.774 0.737 0.401
0.783 0.735 0.734
0.786 0.966 0.230
```

Output
- ΔE to the lowest computed polymorph: 0.020 eV/atom
- SG: P1, No. 1
- Electronic total energy: -6.569 eV/atom
- Formation energy from the elements: -2557 meV/atom


Record 8
# LiVPO4

Crystalline LiVPO4 at its relaxed geometry (PBE with a Hubbard U, the Materials Project).

Geometry as POSCAR:
```
LiVPO4
1.0
5.708 0.000 0.000
0.000 11.222 0.000
-0.345 0.000 9.971
Li V P O
8 8 8 32
direct
0.042 0.160 0.330
0.042 0.340 0.830
0.419 0.610 0.070
0.419 0.890 0.570
0.581 0.110 0.430
0.581 0.390 0.930
0.958 0.660 0.170
0.958 0.840 0.670
0.169 0.629 0.516
0.169 0.871 0.016
0.368 0.100 0.770
0.368 0.400 0.270
0.632 0.600 0.730
0.632 0.900 0.230
0.831 0.129 0.984
0.831 0.371 0.484
0.122 0.606 0.853
0.122 0.894 0.353
0.381 0.142 0.094
0.381 0.358 0.594
0.619 0.642 0.406
0.619 0.858 0.906
0.878 0.106 0.647
0.878 0.394 0.147
0.082 0.014 0.658
0.082 0.486 0.158
0.101 0.686 0.979
0.101 0.814 0.479
0.119 0.682 0.722
0.119 0.818 0.222
0.169 0.060 0.059
0.169 0.440 0.559
0.307 0.227 0.204
0.307 0.273 0.704
0.365 0.539 0.870
0.365 0.961 0.370
0.397 0.572 0.356
0.397 0.928 0.856
0.460 0.204 0.961
0.460 0.296 0.461
0.540 0.704 0.539
0.540 0.796 0.039
0.603 0.072 0.144
0.603 0.428 0.644
0.635 0.039 0.630
0.635 0.461 0.130
0.693 0.727 0.296
0.693 0.773 0.796
0.831 0.560 0.441
0.831 0.940 0.941
0.881 0.182 0.778
0.881 0.318 0.278
0.899 0.186 0.521
0.899 0.314 0.021
0.918 0.514 0.842
0.918 0.986 0.342
```

Output
- ΔE to the lowest computed polymorph: 0.075 eV/atom
- SG: P2_1/c, No. 14
- Electronic total energy: -7.103 eV/atom
- Formation energy from the elements: -2568 meV/atom


Record 9
# Li4V3O8

Crystalline Li4V3O8 at its relaxed geometry (PBE with a Hubbard U, the Materials Project).

Geometry as POSCAR:
```
Li4V3O8
1.0
2.855 1.649 4.902
-2.855 1.649 4.902
0.000 -3.297 4.902
Li V O
4 3 8
direct
0.000 0.000 0.000
0.000 0.000 0.500
0.000 0.500 0.000
0.500 0.000 0.000
0.000 0.500 0.500
0.500 0.000 0.500
0.500 0.500 0.000
0.244 0.244 0.726
0.244 0.726 0.244
0.254 0.254 0.254
0.274 0.756 0.756
0.726 0.244 0.244
0.746 0.746 0.746
0.756 0.274 0.756
0.756 0.756 0.274
```

Output
- ΔE to the lowest computed polymorph: 0.113 eV/atom
- SG: R-3m, No. 166
- Electronic total energy: -6.600 eV/atom
- Formation energy from the elements: -2342 meV/atom


The highest electronic total energy belongs to which entry? Na2MnHgF6


Which formula does entry 8 have? LiVPO4


What is the electronic total energy in the fifth record? -4.348 eV/atom


Among the records above, which one has the lowest formation energy from the elements? Pr2W2O9